1.
This record from the Materials Project database describes In5B4Ir9 after structural relaxation. The functional is PBE-GGA.

Structure (POSCAR):
```
In5B4Ir9
1.0
-3.370 4.227 1.628
-2.174 -4.479 -2.662
-1.494 -4.719 9.162
In B Ir
5 4 9
Direct
0.000 0.000 0.000 In
0.667 0.333 0.500 In
0.000 0.000 0.657 In
0.000 0.000 0.343 In
0.333 0.667 0.500 In
0.667 0.333 0.146 B
0.333 0.667 0.854 B
0.667 0.333 0.854 B
0.333 0.667 0.146 B
0.000 0.481 0.275 Ir
0.481 0.000 0.725 Ir
0.481 0.000 0.275 Ir
0.000 0.481 0.000 Ir
0.519 0.519 0.725 Ir
0.000 0.481 0.725 Ir
0.519 0.519 0.000 Ir
0.481 0.000 0.000 Ir
0.519 0.519 0.275 Ir
```

Output
formation energy = -0.2152 eV/atom
space group = P-62m


2.
This record from the Materials Project database describes CdTe after structural relaxation. The functional is PBE-GGA.

Structure (POSCAR):
```
CdTe
1.0
1.156 1.924 3.932
-3.136 0.445 -3.235
-1.529 -3.899 1.720
Cd Te
1 1
Direct
0.750 0.250 0.500 Cd
0.000 0.000 0.000 Te
```

Output
formation energy = -0.3052 eV/atom
space group = I-4m2


3.
This record from the Materials Project database describes Sr4LiSm2Ta2O12 after structural relaxation. The functional is PBE-GGA.

Structure (POSCAR):
```
Sr4LiSm2Ta2O12
1.0
4.844 0.041 -3.433
0.037 6.092 -0.020
4.837 0.007 6.954
Sr Li Sm Ta O
4 1 2 2 12
Direct
0.017 0.451 0.247 Sr
0.998 0.591 0.752 Sr
0.489 0.942 0.247 Sr
0.467 0.009 0.743 Sr
0.864 0.200 0.750 Li
0.997 0.991 0.484 Sm
0.503 0.489 0.000 Sm
0.998 0.996 0.009 Ta
0.501 0.491 0.501 Ta
0.902 0.032 0.230 O
0.066 0.980 0.763 O
0.589 0.517 0.271 O
0.411 0.474 0.732 O
0.187 0.724 0.044 O
0.826 0.286 0.949 O
0.316 0.219 0.453 O
0.687 0.769 0.546 O
0.276 0.181 0.044 O
0.718 0.814 0.958 O
0.228 0.688 0.456 O
0.782 0.303 0.557 O
```

Output
ΔE to the lowest computed polymorph = 0.33 eV/f.u.
formation energy = -3.2819 eV/atom
space group = P1


4.
This record from the Materials Project database describes KPm3 after structural relaxation. The functional is PBE-GGA.

Structure (POSCAR):
```
KPm3
1.0
-2.949 -3.187 3.110
4.418 -2.559 1.567
0.555 3.438 4.050
K Pm
1 3
Direct
0.000 0.000 0.000 K
0.000 0.500 0.500 Pm
0.500 0.000 0.500 Pm
0.500 0.500 0.000 Pm
```

Output
ΔE to the lowest computed polymorph = 0.05 eV/f.u.
formation energy = 0.4811 eV/atom
space group = Pm-3m


- Number 2 is which compound?
  CdTe